Compound: HoRu3C
Source: the Materials Project
Functional: GGA-PBE
Structure: optimized geometry

Cell and atoms, written as POSCAR:
```
HoRu3C
1.0
4.154 0.000 0.000
0.000 4.154 0.000
0.000 0.000 4.154
Ho Ru C
1 3 1
Cartesian
0.000 0.000 0.000 Ho
0.000 2.077 2.077 Ru
2.077 0.000 2.077 Ru
2.077 2.077 0.000 Ru
2.077 2.077 2.077 C
```

Computed properties:
Crystal system   cubic
Space-group type   Pm-3m, No. 221

=====

Compound: Er2CdGe2
Source: the Materials Project
Functional: GGA-PBE
Structure: optimized geometry

Cell and atoms, written as POSCAR:
```
Er2CdGe2
1.0
7.252 0.000 0.000
0.000 7.252 0.000
0.000 0.000 4.183
Er Cd Ge
4 2 4
Cartesian
1.288 2.338 0.000 Er
2.338 5.964 0.000 Er
4.913 1.288 0.000 Er
5.964 4.913 0.000 Er
0.000 0.000 2.091 Cd
3.626 3.626 2.091 Cd
0.891 4.517 2.091 Ge
2.734 0.891 2.091 Ge
4.517 6.360 2.091 Ge
6.360 2.734 2.091 Ge
```

Computed properties:
Crystal system   tetragonal
Space-group type   P4/mbm, No. 127

=====

Compound: BaEuHfZrO6
Source: the Materials Project
Functional: GGA-PBE
Structure: optimized geometry

Cell and atoms, written as POSCAR:
```
BaEuHfZrO6
1.0
0.000 4.197 4.197
4.197 0.000 4.197
4.197 4.197 0.000
Ba Eu Hf Zr O
1 1 1 1 6
Cartesian
0.000 0.000 0.000 Ba
4.197 4.197 4.197 Eu
6.296 6.296 6.296 Hf
2.099 2.099 2.099 Zr
6.296 6.296 4.214 O
6.296 4.214 6.296 O
8.378 6.296 6.296 O
4.214 6.296 6.296 O
6.296 8.378 6.296 O
6.296 6.296 8.378 O
```

Computed properties:
Crystal system   cubic
Space-group type   F-43m, No. 216

=====

Energy of formation for every record listed, in sequence, given in meV/atom: -230 -697 -3673.
VASP energy for every record listed, in sequence, given in eV/atom: -8.557 -4.558 -9.297.